1.
Computed, not measured: an optimized crystal structure of Ba3CuN3 at the PBE level of DFT.

Unit cell a=8.094 b=8.093 c=5.704 alpha=90.00 beta=90.00 gamma=120.00
Positions (direct):
Ba (0.928, 0.637, 0.250)
Ba (0.710, 0.072, 0.250)
Ba (0.363, 0.290, 0.250)
Ba (0.072, 0.363, 0.750)
Ba (0.290, 0.928, 0.750)
Ba (0.637, 0.710, 0.750)
Cu (0.667, 0.333, 0.750)
Cu (0.333, 0.667, 0.250)
N (0.890, 0.580, 0.750)
N (0.690, 0.110, 0.750)
N (0.420, 0.310, 0.750)
N (0.110, 0.420, 0.250)
N (0.310, 0.890, 0.250)
N (0.580, 0.690, 0.250)

E_form (meV/atom): -319
Space-group type: P6_3/m

2.
Computed, not measured: an optimized crystal structure of Ba2CuN2 at the PBE level of DFT.

Unit cell a=4.111 b=4.122 c=7.168 alpha=106.71 beta=106.66 gamma=90.00
Positions (direct):
Ba (0.850, 0.850, 0.200)
Ba (0.150, 0.150, 0.800)
Cu (0.500, 0.500, 0.500)
N (0.362, 0.362, 0.224)
N (0.638, 0.638, 0.776)

E_form (meV/atom): -446
Space-group type: Immm

3.
Computed, not measured: an optimized crystal structure of Ba2NaCu3O6 at the PBE level of DFT.

Unit cell a=9.307 b=8.458 c=7.157 alpha=72.63 beta=60.15 gamma=47.22
Positions (direct):
Ba (0.250, 0.250, 0.250)
Ba (0.750, 0.750, 0.750)
Ba (0.769, 0.231, 0.769)
Ba (0.231, 0.769, 0.231)
Na (0.331, 0.331, 0.669)
Na (0.669, 0.669, 0.331)
Cu (0.300, 0.997, 0.700)
Cu (0.003, 0.700, 0.997)
Cu (0.997, 0.300, 0.003)
Cu (0.700, 0.003, 0.300)
Cu (0.690, 0.310, 0.310)
Cu (0.310, 0.690, 0.690)
O (0.684, 0.502, 0.092)
O (0.722, 0.092, 0.502)
O (0.092, 0.722, 0.684)
O (0.502, 0.684, 0.722)
O (0.316, 0.498, 0.908)
O (0.278, 0.908, 0.498)
O (0.305, 0.072, 0.928)
O (0.498, 0.316, 0.278)
O (0.072, 0.305, 0.695)
O (0.928, 0.695, 0.305)
O (0.695, 0.928, 0.072)
O (0.908, 0.278, 0.316)

E_form (meV/atom): -1790
Space-group type: Fmmm

4.
Computed, not measured: an optimized crystal structure of Ba2NaCu3S5 at the PBE level of DFT.

Unit cell a=8.796 b=8.796 c=10.469 alpha=81.91 beta=81.91 gamma=36.85
Positions (direct):
Ba (0.764, 0.764, 0.698)
Ba (0.236, 0.236, 0.302)
Ba (0.458, 0.458, 0.710)
Ba (0.542, 0.542, 0.290)
Na (0.106, 0.106, 0.764)
Na (0.894, 0.894, 0.236)
Cu (0.763, 0.237, 0.000)
Cu (0.237, 0.763, 0.000)
Cu (0.925, 0.413, 0.010)
Cu (0.413, 0.925, 0.010)
Cu (0.075, 0.587, 0.990)
Cu (0.587, 0.075, 0.990)
S (0.433, 0.815, 0.530)
S (0.815, 0.433, 0.530)
S (0.567, 0.185, 0.470)
S (0.185, 0.567, 0.470)
S (0.598, 0.598, 0.880)
S (0.402, 0.402, 0.120)
S (0.070, 0.070, 0.148)
S (0.930, 0.930, 0.852)
S (0.261, 0.261, 0.854)
S (0.739, 0.739, 0.146)

E_form (meV/atom): -1221
Space-group type: C2/m

For reference, final energy by record: -5.145; -5.223; -5.376; -4.460 eV per atom.